(1)
A plane-wave DFT calculation with PBE was carried out for Na2Y4Si3Ge4S9O48 after structural relaxation.

## Properties
- Final energy: -6.688 eV per atom
- Magnetic moment: 0.00 Bohr magnetons per cell
- Total energy after the MP2020 corrections: -1503.44 eV/cell
- Energy relative to the elements: -225 kJ per mole of atoms

Cell lengths 8.886, 15.290, 23.136 Å; angles 91.62, 90.44, 90.14 degrees
Atoms (fractional coordinates):
Na: 0.000 0.000 0.000
Na: 0.008 0.009 0.510
Na: 0.036 0.675 0.333
Na: 0.489 0.175 0.831
Na: 0.513 0.508 0.010
Na: 0.524 0.496 0.503
Y: 0.000 0.343 0.033
Y: 0.006 0.024 0.354
Y: 0.009 0.350 0.531
Y: 0.009 0.689 0.485
Y: 0.016 0.680 0.190
Y: 0.018 0.003 0.853
Y: 0.504 0.183 0.690
Y: 0.507 0.504 0.354
Y: 0.514 0.188 0.984
Y: 0.514 0.524 0.853
Y: 0.518 0.851 0.028
Y: 0.522 0.844 0.533
Si: 0.148 0.161 0.754
Si: 0.380 0.664 0.254
Si: 0.385 0.337 0.589
Si: 0.638 0.336 0.093
Si: 0.661 0.659 0.749
Si: 0.717 0.343 0.423
Si: 0.806 0.842 0.922
Si: 0.861 0.166 0.252
Si: 0.885 0.835 0.593
Ge: 0.001 0.684 0.975
Ge: 0.016 0.026 0.158
Ge: 0.020 0.345 0.806
Ge: 0.026 0.016 0.653
Ge: 0.505 0.519 0.651
Ge: 0.509 0.511 0.160
Ge: 0.511 0.845 0.313
Ge: 0.522 0.206 0.482
Ge: 0.534 0.192 0.190
Ge: 0.559 0.840 0.810
Ge: 0.976 0.339 0.319
Ge: 0.990 0.689 0.689
S: 0.135 0.833 0.083
S: 0.140 0.488 0.412
S: 0.169 0.859 0.747
S: 0.177 0.207 0.421
S: 0.177 0.543 0.080
S: 0.209 0.515 0.748
S: 0.225 0.168 0.093
S: 0.232 0.844 0.413
S: 0.289 0.345 0.913
S: 0.297 0.671 0.593
S: 0.312 0.015 0.248
S: 0.346 0.043 0.581
S: 0.346 0.703 0.922
S: 0.356 0.360 0.247
S: 0.382 0.988 0.913
S: 0.641 0.994 0.419
S: 0.659 0.707 0.413
S: 0.672 0.043 0.095
S: 0.677 0.370 0.755
S: 0.714 0.005 0.753
S: 0.723 0.670 0.082
S: 0.798 0.169 0.583
S: 0.810 0.504 0.254
S: 0.848 0.873 0.253
S: 0.855 0.545 0.593
S: 0.864 0.207 0.912
S: 0.879 0.494 0.920
O: 0.059 0.921 0.090
O: 0.063 0.259 0.758
O: 0.067 0.110 0.694
O: 0.067 0.791 0.029
O: 0.069 0.575 0.412
O: 0.084 0.440 0.356
O: 0.087 0.890 0.798
O: 0.105 0.442 0.465
O: 0.107 0.248 0.471
O: 0.107 0.579 0.133
O: 0.107 0.782 0.134
O: 0.111 0.589 0.737
O: 0.111 0.766 0.736
O: 0.113 0.434 0.757
O: 0.116 0.105 0.809
O: 0.116 0.116 0.417
O: 0.119 0.454 0.072
O: 0.126 0.085 0.098
O: 0.126 0.243 0.087
O: 0.135 0.922 0.410
O: 0.137 0.764 0.412
O: 0.139 0.917 0.696
O: 0.147 0.253 0.366
O: 0.147 0.598 0.029
O: 0.176 0.039 0.590
O: 0.176 0.696 0.928
O: 0.194 0.356 0.255
O: 0.196 0.337 0.857
O: 0.198 0.351 0.965
O: 0.201 0.681 0.644
O: 0.202 0.680 0.245
O: 0.207 0.991 0.195
O: 0.211 0.654 0.538
O: 0.215 0.358 0.575
O: 0.217 0.999 0.912
O: 0.218 0.033 0.298
O: 0.296 0.845 0.077
O: 0.299 0.532 0.800
O: 0.304 0.498 0.410
O: 0.308 0.491 0.697
O: 0.309 0.150 0.039
O: 0.322 0.178 0.144
O: 0.324 0.836 0.357
O: 0.324 0.850 0.464
O: 0.326 0.176 0.750
O: 0.332 0.855 0.756
O: 0.343 0.539 0.089
O: 0.345 0.200 0.428
O: 0.372 0.750 0.869
O: 0.373 0.097 0.531
O: 0.382 0.264 0.913
O: 0.386 0.418 0.196
O: 0.388 0.422 0.911
O: 0.393 0.748 0.587
O: 0.395 0.952 0.571
O: 0.396 0.591 0.597
O: 0.402 0.604 0.308
O: 0.406 0.091 0.235
O: 0.406 0.936 0.256
O: 0.408 0.613 0.919
O: 0.409 0.746 0.974
O: 0.410 0.279 0.643
O: 0.412 0.267 0.235
O: 0.415 0.943 0.967
O: 0.417 0.074 0.635
O: 0.436 0.942 0.860
O: 0.441 0.391 0.297
O: 0.453 0.077 0.916
O: 0.457 0.610 0.194
O: 0.462 0.762 0.261
O: 0.467 0.292 0.529
O: 0.477 0.433 0.599
O: 0.557 0.302 0.033
O: 0.559 0.434 0.106
O: 0.566 0.078 0.426
O: 0.566 0.608 0.694
O: 0.574 0.755 0.757
O: 0.577 0.952 0.362
O: 0.592 0.620 0.409
O: 0.602 0.406 0.807
O: 0.602 0.423 0.418
O: 0.603 0.087 0.146
O: 0.604 0.269 0.144
O: 0.604 0.956 0.091
O: 0.605 0.749 0.467
O: 0.612 0.079 0.748
O: 0.614 0.923 0.758
O: 0.616 0.937 0.468
O: 0.623 0.745 0.076
O: 0.625 0.761 0.361
O: 0.628 0.247 0.426
O: 0.632 0.589 0.086
O: 0.633 0.278 0.750
O: 0.643 0.605 0.806
O: 0.646 0.421 0.703
O: 0.650 0.092 0.041
O: 0.680 0.178 0.240
O: 0.681 0.873 0.261
O: 0.689 0.541 0.599
O: 0.696 0.199 0.915
O: 0.699 0.154 0.529
O: 0.703 0.856 0.977
O: 0.704 0.828 0.860
O: 0.707 0.846 0.587
O: 0.711 0.181 0.635
O: 0.713 0.489 0.201
O: 0.714 0.508 0.916
O: 0.721 0.521 0.305
O: 0.800 0.017 0.806
O: 0.807 0.989 0.701
O: 0.808 0.004 0.414
O: 0.814 0.685 0.134
O: 0.816 0.347 0.086
O: 0.818 0.328 0.362
O: 0.819 0.360 0.478
O: 0.821 0.656 0.028
O: 0.826 0.700 0.414
O: 0.840 0.675 0.737
O: 0.842 0.033 0.101
O: 0.847 0.376 0.764
O: 0.879 0.925 0.201
O: 0.880 0.105 0.305
O: 0.882 0.594 0.540
O: 0.891 0.088 0.586
O: 0.897 0.244 0.577
O: 0.897 0.262 0.861
O: 0.898 0.781 0.245
O: 0.900 0.749 0.928
O: 0.906 0.425 0.260
O: 0.908 0.441 0.970
O: 0.908 0.581 0.246
O: 0.917 0.457 0.590
O: 0.917 0.925 0.919
O: 0.919 0.248 0.967
O: 0.920 0.768 0.644
O: 0.927 0.907 0.305
O: 0.930 0.119 0.909
O: 0.931 0.587 0.644
O: 0.941 0.457 0.865
O: 0.949 0.260 0.263
O: 0.953 0.121 0.195
O: 0.958 0.582 0.928
O: 0.962 0.934 0.605
O: 0.964 0.802 0.533

=====

(2)
A plane-wave DFT calculation with PBE was carried out for Na8Y2Si5Ge2SO24 after structural relaxation.

## Properties
- Final energy: -6.663 eV per atom
- Magnetic moment: 0.00 Bohr magnetons per cell
- Total energy after the MP2020 corrections: -889.05 eV/cell
- Energy relative to the elements: -261 kJ per mole of atoms

Cell lengths 9.130, 9.176, 22.356 Å; angles 90.62, 90.59, 119.70 degrees
Atoms (fractional coordinates):
Na: 0.000 0.000 0.000
Na: 0.002 0.374 0.494
Na: 0.239 0.983 0.504
Na: 0.250 0.622 0.995
Na: 0.275 0.703 0.668
Na: 0.280 0.334 0.414
Na: 0.286 0.970 0.168
Na: 0.292 0.334 0.919
Na: 0.305 0.655 0.336
Na: 0.325 0.021 0.837
Na: 0.591 0.664 0.839
Na: 0.605 0.306 0.333
Na: 0.621 0.376 0.000
Na: 0.624 0.008 0.758
Na: 0.625 0.003 0.251
Na: 0.626 0.646 0.495
Na: 0.662 0.326 0.682
Na: 0.663 0.698 0.164
Na: 0.914 0.325 0.173
Na: 0.933 0.973 0.670
Na: 0.945 0.665 0.081
Na: 0.947 0.297 0.838
Na: 0.955 0.017 0.335
Na: 0.982 0.680 0.585
Y: 0.275 0.327 0.564
Y: 0.291 0.327 0.061
Y: 0.623 0.002 0.607
Y: 0.954 0.663 0.240
Y: 0.958 0.666 0.427
Y: 0.962 0.667 0.744
Si: 0.000 0.334 0.675
Si: 0.259 0.663 0.839
Si: 0.275 0.975 0.336
Si: 0.288 0.043 0.673
Si: 0.332 0.708 0.498
Si: 0.338 0.984 0.998
Si: 0.581 0.321 0.167
Si: 0.633 0.652 0.332
Si: 0.636 0.727 0.999
Si: 0.652 0.362 0.838
Si: 0.903 0.294 0.996
Si: 0.910 0.993 0.498
Si: 0.947 0.958 0.840
Si: 0.955 0.341 0.334
Si: 0.988 0.037 0.165
Ge: 0.266 0.305 0.782
Ge: 0.283 0.302 0.272
Ge: 0.622 0.977 0.395
Ge: 0.622 0.996 0.901
Ge: 0.643 0.024 0.096
Ge: 0.955 0.664 0.936
S: 0.294 0.629 0.169
S: 0.582 0.622 0.671
S: 0.626 0.294 0.499
O: 0.004 0.464 0.393
O: 0.087 0.160 0.226
O: 0.092 0.319 0.999
O: 0.096 0.116 0.106
O: 0.096 0.161 0.493
O: 0.102 0.363 0.613
O: 0.107 0.315 0.734
O: 0.117 0.859 0.674
O: 0.118 0.621 0.893
O: 0.123 0.147 0.837
O: 0.127 0.327 0.324
O: 0.140 0.678 0.495
O: 0.142 0.651 0.171
O: 0.147 0.811 0.994
O: 0.148 0.902 0.392
O: 0.199 0.713 0.778
O: 0.205 0.852 0.277
O: 0.272 0.532 0.114
O: 0.275 0.489 0.833
O: 0.278 0.124 0.610
O: 0.291 0.161 0.327
O: 0.308 0.166 0.733
O: 0.308 0.541 0.223
O: 0.313 0.149 0.000
O: 0.330 0.528 0.495
O: 0.406 0.809 0.561
O: 0.430 0.958 0.060
O: 0.446 0.487 0.318
O: 0.450 0.797 0.168
O: 0.450 0.830 0.848
O: 0.452 0.816 0.441
O: 0.453 0.288 0.225
O: 0.457 0.016 0.941
O: 0.458 0.026 0.678
O: 0.462 0.348 0.832
O: 0.468 0.007 0.348
O: 0.469 0.541 0.001
O: 0.475 0.313 0.500
O: 0.480 0.536 0.725
O: 0.505 0.531 0.615
O: 0.511 0.367 0.108
O: 0.587 0.140 0.159
O: 0.596 0.792 0.671
O: 0.607 0.814 0.941
O: 0.609 0.189 0.446
O: 0.611 0.820 0.340
O: 0.628 0.171 0.847
O: 0.644 0.220 0.555
O: 0.667 0.848 0.061
O: 0.702 0.602 0.391
O: 0.750 0.503 0.894
O: 0.752 0.641 0.673
O: 0.761 0.427 0.778
O: 0.764 0.707 0.278
O: 0.773 0.478 0.174
O: 0.780 0.462 0.497
O: 0.784 0.988 0.848
O: 0.786 0.154 0.343
O: 0.793 0.218 0.059
O: 0.798 0.028 0.161
O: 0.804 0.012 0.440
O: 0.808 0.165 0.941
O: 0.809 0.708 0.995
O: 0.816 0.980 0.561
O: 0.819 0.160 0.677
O: 0.901 0.854 0.778
O: 0.908 0.422 0.278
O: 0.916 0.482 0.992
O: 0.924 0.823 0.496
O: 0.966 0.850 0.172
O: 0.969 0.495 0.675
O: 0.992 0.861 0.894

=====

(3)
A plane-wave DFT calculation with PBE was carried out for NaYSiGeS2O12 after structural relaxation.

## Properties
- Final energy: -6.678 eV per atom
- Magnetic moment: 0.00 Bohr magnetons per cell
- Total energy after the MP2020 corrections: -770.67 eV/cell
- Energy relative to the elements: -230 kJ per mole of atoms

Cell lengths 8.975, 8.975, 23.062 Å; angles 92.00, 92.00, 60.07 degrees
Atoms (fractional coordinates):
Na: 0.012 0.988 0.500
Na: 0.323 0.364 0.166
Na: 0.364 0.323 0.666
Na: 0.650 0.699 0.833
Na: 0.699 0.650 0.333
Na: 0.988 0.012 0.000
Y: 0.009 0.014 0.353
Y: 0.014 0.009 0.853
Y: 0.345 0.353 0.019
Y: 0.353 0.345 0.519
Y: 0.673 0.690 0.686
Y: 0.690 0.673 0.186
Si: 0.027 0.287 0.247
Si: 0.047 0.635 0.416
Si: 0.287 0.027 0.747
Si: 0.635 0.047 0.916
Si: 0.701 0.972 0.586
Si: 0.972 0.701 0.086
Ge: 0.025 0.988 0.649
Ge: 0.300 0.362 0.312
Ge: 0.362 0.300 0.812
Ge: 0.682 0.733 0.981
Ge: 0.733 0.682 0.481
Ge: 0.988 0.025 0.149
S: 0.038 0.371 0.911
S: 0.041 0.701 0.745
S: 0.294 0.708 0.247
S: 0.371 0.038 0.411
S: 0.371 0.624 0.913
S: 0.373 0.702 0.579
S: 0.379 0.964 0.078
S: 0.624 0.371 0.413
S: 0.701 0.041 0.245
S: 0.702 0.373 0.079
S: 0.708 0.294 0.747
S: 0.964 0.379 0.578
O: 0.008 0.808 0.797
O: 0.012 0.828 0.412
O: 0.015 0.199 0.303
O: 0.015 0.219 0.907
O: 0.049 0.792 0.692
O: 0.051 0.161 0.186
O: 0.125 0.386 0.858
O: 0.130 0.517 0.353
O: 0.137 0.359 0.574
O: 0.138 0.354 0.964
O: 0.153 0.544 0.472
O: 0.161 0.051 0.686
O: 0.163 0.543 0.079
O: 0.188 0.787 0.193
O: 0.199 0.015 0.803
O: 0.199 0.866 0.586
O: 0.207 0.538 0.748
O: 0.210 0.301 0.251
O: 0.211 0.974 0.077
O: 0.216 0.808 0.299
O: 0.219 0.015 0.407
O: 0.221 0.800 0.908
O: 0.301 0.210 0.751
O: 0.310 0.531 0.251
O: 0.341 0.556 0.576
O: 0.345 0.549 0.964
O: 0.354 0.138 0.464
O: 0.359 0.137 0.074
O: 0.386 0.125 0.358
O: 0.387 0.519 0.858
O: 0.451 0.720 0.527
O: 0.468 0.686 0.242
O: 0.470 0.853 0.022
O: 0.474 0.679 0.633
O: 0.480 0.867 0.743
O: 0.480 0.881 0.129
O: 0.517 0.130 0.853
O: 0.519 0.387 0.358
O: 0.530 0.866 0.415
O: 0.531 0.310 0.751
O: 0.532 0.634 0.919
O: 0.538 0.207 0.248
O: 0.543 0.163 0.579
O: 0.544 0.153 0.972
O: 0.549 0.345 0.464
O: 0.556 0.341 0.076
O: 0.634 0.532 0.419
O: 0.641 0.856 0.918
O: 0.665 0.898 0.239
O: 0.678 0.876 0.638
O: 0.679 0.474 0.133
O: 0.686 0.468 0.742
O: 0.720 0.451 0.027
O: 0.735 0.849 0.523
O: 0.787 0.188 0.693
O: 0.792 0.049 0.192
O: 0.800 0.221 0.408
O: 0.808 0.008 0.297
O: 0.808 0.216 0.799
O: 0.828 0.012 0.912
O: 0.849 0.735 0.023
O: 0.853 0.470 0.522
O: 0.856 0.641 0.418
O: 0.866 0.199 0.086
O: 0.866 0.530 0.915
O: 0.867 0.480 0.243
O: 0.876 0.678 0.138
O: 0.881 0.480 0.629
O: 0.883 0.982 0.594
O: 0.898 0.665 0.739
O: 0.974 0.211 0.577
O: 0.982 0.883 0.094